Record 1
Below is a geometry-optimized Na2La2MgTi3O10 structure, with properties calculated at the PBE level.

Output
**ΔE_f**: -3.031 eV per atom
**Uncorrected energy**: -134.964 eV per cell
**Energy above the lowest structure with this stoichiometry**: 0.1025 eV per atom
**Calculated volume**: 13.59 A^3/atom

a b c (Å): 3.9227 3.9227 16.1396
angles (deg): 96.98 96.98 90.00
Atoms (fractional coordinates):
Ti: 0.0000 0.0000 0.0000
O: 0.1418 0.6418 0.2837
La: 0.5961 0.5961 0.1922
Na: 0.2843 0.2843 0.5687
O: 0.8582 0.3582 0.7163
La: 0.4039 0.4039 0.8078
O: 0.3582 0.8582 0.7163
O: 0.6418 0.1418 0.2837
Mg: 0.5000 0.5000 0.0000
Na: 0.7157 0.7157 0.4313
O: 0.0684 0.0684 0.1367
O: 0.2121 0.2121 0.4242
O: 0.5000 0.0000 0.0000
O: 0.9316 0.9316 0.8633
Ti: 0.8431 0.8431 0.6863
O: 0.7879 0.7879 0.5758
Ti: 0.1569 0.1569 0.3137
O: 0.0000 0.5000 0.0000



Record 2
Below is a geometry-optimized Ba3V2N4 structure, with properties calculated at the PBE level.

Output
**ΔE_f**: -0.996 eV per atom
**Uncorrected energy**: -259.154 eV per cell
**Energy above the lowest structure with this stoichiometry**: 0.0417 eV per atom
**Calculated volume**: 18.52 A^3/atom

a b c (Å): 6.2203 10.3844 10.3239
angles (deg): 90.00 90.00 90.00
Atoms (fractional coordinates):
N: 0.0347 0.0890 0.3273
N: 0.6570 0.6461 0.6416
Ba: 0.6209 0.1576 0.4189
Ba: 0.2500 0.5000 0.5965
Ba: 0.7500 0.5000 0.4035
N: 0.5347 0.0890 0.6727
V: 0.7500 0.5000 0.7359
N: 0.9653 0.9110 0.6727
Ba: 0.6209 0.3424 0.0811
N: 0.4653 0.5890 0.1727
N: 0.3430 0.1461 0.1416
Ba: 0.7500 0.0000 0.0965
V: 0.2500 0.0000 0.2359
N: 0.6570 0.8539 0.8584
N: 0.8430 0.3539 0.6416
N: 0.4653 0.9110 0.3273
Ba: 0.1209 0.3424 0.9189
Ba: 0.8791 0.6576 0.0811
V: 0.1580 0.2500 0.2500
V: 0.3420 0.7500 0.2500
V: 0.8420 0.7500 0.7500
Ba: 0.3791 0.6576 0.9189
Ba: 0.3791 0.8424 0.5811
V: 0.2500 0.5000 0.2641
N: 0.3430 0.3539 0.3584
N: 0.1570 0.8539 0.1416
Ba: 0.2500 0.0000 0.9035
V: 0.6580 0.2500 0.7500
N: 0.1570 0.6461 0.3584
N: 0.8430 0.1461 0.8584
V: 0.7500 0.0000 0.7641
N: 0.5347 0.4110 0.8273
N: 0.9653 0.5890 0.8273
N: 0.0347 0.4110 0.1727
Ba: 0.1209 0.1576 0.5811
Ba: 0.8791 0.8424 0.4189



Record 3
Below is a geometry-optimized SnP2Cl10O2 structure, with properties calculated at the PBE level.

Output
**ΔE_f**: -1.127 eV per atom
**Uncorrected energy**: -234.987 eV per cell
**Calculated volume**: 31.13 A^3/atom

a b c (Å): 8.2911 14.9552 15.0651
angles (deg): 90.00 90.00 90.00
Atoms (fractional coordinates):
P: 0.0000 0.0861 0.3437
Cl: 0.0000 0.3904 0.0892
Cl: 0.1914 0.1243 0.4136
Cl: 0.3086 0.6243 0.0864
P: 0.5000 0.8926 0.1412
Cl: 0.6907 0.9718 0.1562
Cl: 0.5000 0.8904 0.4108
Cl: 0.2175 0.2606 0.6844
P: 0.0000 0.3926 0.3588
P: 0.0000 0.9139 0.6563
Cl: 0.0000 0.6096 0.9108
Cl: 0.0000 0.6435 0.5143
Cl: 0.7175 0.7606 0.8156
O: 0.5000 0.1869 0.7997
Cl: 0.1907 0.4718 0.3438
Cl: 0.5000 0.8565 0.0143
O: 0.5000 0.3821 0.7500
O: 0.0000 0.8821 0.7500
O: 0.5000 0.6179 0.2500
Cl: 0.0000 0.8520 0.9679
Cl: 0.6914 0.3757 0.9136
Cl: 0.5000 0.3520 0.5321
Cl: 0.8086 0.1243 0.4136
Cl: 0.6907 0.0282 0.8438
O: 0.5000 0.8131 0.2003
Cl: 0.5000 0.1096 0.5892
P: 0.5000 0.5861 0.1563
Cl: 0.3086 0.3757 0.9136
Cl: 0.6914 0.6243 0.0864
P: 0.5000 0.4139 0.8437
Cl: 0.5000 0.6480 0.4679
Cl: 0.2825 0.7606 0.8156
O: 0.0000 0.6869 0.7003
Cl: 0.0000 0.1480 0.0321
Cl: 0.5000 0.4532 0.1517
Cl: 0.7825 0.2606 0.6844
Sn: 0.0000 0.7545 0.8427
Cl: 0.1914 0.8757 0.5864
Cl: 0.3093 0.9718 0.1562
P: 0.0000 0.6074 0.6412
Cl: 0.1907 0.5282 0.6562
Cl: 0.8086 0.8757 0.5864
O: 0.0000 0.1179 0.2500
Sn: 0.5000 0.7455 0.3427
Cl: 0.0000 0.3565 0.4857
Cl: 0.7825 0.7394 0.3156
Cl: 0.0000 0.9532 0.3483
Cl: 0.2825 0.2394 0.1844
Cl: 0.0000 0.0468 0.6517
Cl: 0.5000 0.5468 0.8483
O: 0.0000 0.3131 0.2997
Cl: 0.5000 0.1435 0.9857
Cl: 0.2175 0.7394 0.3156
Sn: 0.0000 0.2455 0.1573
Cl: 0.7175 0.2394 0.1844
P: 0.5000 0.1074 0.8588
Cl: 0.8093 0.4718 0.3438
Sn: 0.5000 0.2545 0.6573
Cl: 0.3093 0.0282 0.8438
Cl: 0.8093 0.5282 0.6562



Record 4
Below is a geometry-optimized CsH3Se2O8 structure, with properties calculated at the PBE level.

Output
**ΔE_f**: -1.327 eV per atom
**Uncorrected energy**: -282.898 eV per cell
**Energy above the lowest structure with this stoichiometry**: 0.0000 eV per atom
**Calculated volume**: 17.02 A^3/atom

a b c (Å): 8.2227 13.3983 8.6505
angles (deg): 90.00 90.11 90.00
Atoms (fractional coordinates):
O: 0.2277 0.7949 0.5738
Se: 0.2506 0.6081 0.1849
O: 0.9104 0.7073 0.8054
H: 0.1182 0.2559 0.6060
O: 0.8948 0.4287 0.6994
Cs: 0.7843 0.4379 0.3359
O: 0.6079 0.6266 0.7478
Se: 0.2506 0.8919 0.6849
O: 0.6952 0.4887 0.9411
O: 0.8281 0.6653 0.5155
O: 0.3048 0.9887 0.5589
O: 0.3048 0.5113 0.0589
O: 0.0896 0.2073 0.6946
H: 0.3342 0.0491 0.6279
O: 0.5819 0.1225 0.1920
H: 0.4843 0.1524 0.2535
H: 0.6658 0.9509 0.3721
H: 0.6658 0.5491 0.8721
O: 0.6079 0.8734 0.2478
Se: 0.2553 0.2940 0.3220
Se: 0.7494 0.3919 0.8151
Cs: 0.7843 0.0621 0.8359
O: 0.1719 0.1653 0.9845
O: 0.6952 0.0113 0.4411
O: 0.6723 0.8214 0.6641
O: 0.8281 0.8347 0.0155
Se: 0.7447 0.7060 0.6780
O: 0.0896 0.2927 0.1946
O: 0.1052 0.9287 0.8006
O: 0.3921 0.3734 0.2522
H: 0.1182 0.2441 0.1060
O: 0.7723 0.2051 0.4262
Cs: 0.2157 0.9379 0.1641
Se: 0.7447 0.7940 0.1780
O: 0.3277 0.3214 0.8359
Cs: 0.2157 0.5621 0.6641
O: 0.1052 0.5713 0.3006
O: 0.7723 0.2949 0.9262
O: 0.2277 0.7051 0.0738
O: 0.1719 0.3347 0.4845
O: 0.6723 0.6786 0.1641
H: 0.8818 0.7441 0.3940
Se: 0.2553 0.2060 0.8220
H: 0.5157 0.8476 0.7465
H: 0.4843 0.3476 0.7535
O: 0.9104 0.7927 0.3054
O: 0.5819 0.3775 0.6920
O: 0.8948 0.0713 0.1994
H: 0.5157 0.6524 0.2465
O: 0.4181 0.8775 0.8080
O: 0.3921 0.1266 0.7522
Se: 0.7494 0.1081 0.3151
O: 0.3277 0.1786 0.3359
O: 0.4181 0.6225 0.3080
H: 0.8818 0.7559 0.8940
H: 0.3342 0.4509 0.1279



Record 5
Below is a geometry-optimized CoSi7N10 structure, with properties calculated at the PBE level.

Output
**ΔE_f**: -0.976 eV per atom
**Uncorrected energy**: -284.819 eV per cell
**Calculated volume**: 12.05 A^3/atom

a b c (Å): 6.6647 6.9216 9.7054
angles (deg): 90.00 104.33 90.00
Atoms (fractional coordinates):
Si: 0.8443 0.6178 0.8084
Si: 0.6582 0.6388 0.4890
Si: 0.4862 0.3666 0.6845
Si: 0.3461 0.0209 0.0184
Si: 0.5405 0.0177 0.3204
Si: 0.1098 0.5974 0.5749
N: 0.2900 0.4949 0.2223
N: 0.8795 0.6175 0.6304
N: 0.4994 0.5439 0.0199
N: 0.8795 0.3825 0.1304
Si: 0.1098 0.4026 0.0749
N: 0.7003 0.4142 0.8229
Si: 0.5405 0.9823 0.8204
Si: 0.3461 0.9791 0.5184
Si: 0.8443 0.3822 0.3084
Co: 0.0113 0.8983 0.7076
Co: 0.0113 0.1017 0.2076
N: 0.1530 0.1599 0.0499
N: 0.1530 0.8401 0.5499
N: 0.3086 0.1300 0.3624
N: 0.2900 0.5051 0.7223
N: 0.7003 0.5858 0.3229
Si: 0.2972 0.3815 0.3811
N: 0.7494 0.1522 0.3099
N: 0.5469 0.1372 0.9644
N: 0.5469 0.8628 0.4644
N: 0.0753 0.5681 0.9352
Si: 0.4862 0.6334 0.1845
N: 0.4465 0.8796 0.1676
N: 0.0753 0.4320 0.4352
Si: 0.2972 0.6185 0.8811
N: 0.4994 0.4561 0.5199
N: 0.4465 0.1204 0.6676
N: 0.7494 0.8478 0.8099
N: 0.3086 0.8700 0.8624
Si: 0.6582 0.3612 0.9890



Record 6
Below is a geometry-optimized Na2LiTmCl6 structure, with properties calculated at the PBE level.

Output
**ΔE_f**: -2.255 eV per atom
**Uncorrected energy**: -38.992 eV per cell
**Calculated volume**: 26.45 A^3/atom

a b c (Å): 7.2057 7.2057 7.2057
angles (deg): 60.00 60.00 60.00
Atoms (fractional coordinates):
Li: 0.5000 0.5000 0.5000
Cl: 0.2529 0.2529 0.7471
Na: 0.2500 0.2500 0.2500
Cl: 0.7471 0.2529 0.2529
Cl: 0.7471 0.2529 0.7471
Cl: 0.2529 0.7471 0.2529
Cl: 0.7471 0.7471 0.2529
Tm: 0.0000 0.0000 0.0000
Cl: 0.2529 0.7471 0.7471
Na: 0.7500 0.7500 0.7500



Record 7
Below is a geometry-optimized CeSe2 structure, with properties calculated at the PBE level.

Output
**ΔE_f**: -1.451 eV per atom
**Uncorrected energy**: -65.330 eV per cell
**Calculated volume**: 56.94 A^3/atom

a b c (Å): 8.8373 9.1692 9.3921
angles (deg): 86.41 83.48 64.67
Atoms (fractional coordinates):
Ce: 0.3155 0.1989 0.0711
Ce: 0.7025 0.9802 0.6779
Se: 0.6027 0.0677 0.2229
Ce: 0.8119 0.2133 0.2756
Se: 0.8126 0.7465 0.4783
Se: 0.3750 0.1493 0.7841
Se: 0.8076 0.2062 0.5646
Se: 0.1341 0.0331 0.1730
Se: 0.1663 0.5037 0.1632
Se: 0.6999 0.5065 0.1482
Se: 0.8654 0.8392 0.9100
Ce: 0.8342 0.7190 0.1838



Record 8
Below is a geometry-optimized BaH2C2O4 structure, with properties calculated at the PBE level.

Output
**ΔE_f**: -1.783 eV per atom
**Uncorrected energy**: -241.017 eV per cell
**Energy above the lowest structure with this stoichiometry**: 0.0000 eV per atom
**Calculated volume**: 13.42 A^3/atom

a b c (Å): 6.9018 7.7059 9.0856
angles (deg): 90.00 90.00 90.00
Atoms (fractional coordinates):
H: 0.4964 0.0622 0.3010
O: 0.6489 0.0673 0.6060
H: 0.7688 0.7074 0.0093
O: 0.8511 0.9327 0.1060
Ba: 0.0780 0.7883 0.3360
O: 0.3649 0.4159 0.5818
H: 0.2312 0.2074 0.4907
H: 0.5036 0.5622 0.1990
H: 0.2688 0.7926 0.9907
H: 0.0036 0.9378 0.8010
Ba: 0.5780 0.7117 0.6640
C: 0.2482 0.3512 0.4881
Ba: 0.4220 0.2117 0.8360
O: 0.2445 0.9242 0.6722
O: 0.3511 0.5673 0.8940
O: 0.8649 0.0841 0.4182
C: 0.7482 0.1488 0.5119
O: 0.7555 0.4242 0.8278
O: 0.4783 0.7400 0.3645
O: 0.0217 0.2600 0.8645
C: 0.2518 0.6488 0.9881
H: 0.9964 0.4378 0.6990
O: 0.9783 0.7600 0.6355
Ba: 0.9220 0.2883 0.1640
C: 0.0737 0.8741 0.7051
O: 0.6351 0.9159 0.9182
H: 0.7312 0.2926 0.5093
C: 0.9263 0.3741 0.7949
O: 0.1351 0.5841 0.0818
O: 0.7445 0.5758 0.3278
O: 0.5217 0.2400 0.1355
C: 0.7518 0.8512 0.0119
C: 0.4263 0.1259 0.2051
C: 0.5737 0.6259 0.2949
O: 0.2555 0.0758 0.1722
O: 0.1489 0.4327 0.3940



- Which formula does entry 6 have?
  Na2LiTmCl6